VASP calculation (PBE+U) on crystalline Mg14FeCO16 at its relaxed geometry.

Output
Its space group is No. 123. As for the energy above the most stable polymorph in this dataset: 0.027 eV/atom. For the mass density, the calculation gives 3.560 g/cm³. Its crystal system is tetragonal.

Cell: 8.532 8.532 4.255 Å, 90.00 90.00 90.00°
Fractional coordinates of all 32 atoms:
1 Mg 0.000 0.246 0.000
2 Mg 0.000 0.500 0.500
3 Mg 0.000 0.754 0.000
4 Mg 0.246 0.000 0.000
5 Mg 0.247 0.247 0.500
6 Mg 0.247 0.753 0.500
7 Mg 0.249 0.500 0.000
8 Mg 0.500 0.000 0.500
9 Mg 0.500 0.249 0.000
10 Mg 0.500 0.751 0.000
11 Mg 0.751 0.500 0.000
12 Mg 0.753 0.247 0.500
13 Mg 0.753 0.753 0.500
14 Mg 0.754 0.000 0.000
15 Fe 0.500 0.500 0.500
16 C 0.000 0.000 0.500
17 O 0.000 0.000 0.000
18 O 0.000 0.253 0.500
19 O 0.000 0.500 0.000
20 O 0.000 0.747 0.500
21 O 0.248 0.500 0.500
22 O 0.250 0.250 0.000
23 O 0.250 0.750 0.000
24 O 0.253 0.000 0.500
25 O 0.500 0.000 0.000
26 O 0.500 0.248 0.500
27 O 0.500 0.500 0.000
28 O 0.500 0.752 0.500
29 O 0.747 0.000 0.500
30 O 0.750 0.250 0.000
31 O 0.750 0.750 0.000
32 O 0.752 0.500 0.500



VASP calculation (PBE+U) on crystalline Mg14FeCO16 at its relaxed geometry.

Output
Its space group is No. 47. As for the energy above the most stable polymorph in this dataset: 0.000 eV/atom. For the mass density, the calculation gives 3.580 g/cm³. Its crystal system is orthorhombic.

Cell: 4.248 8.493 8.538 Å, 90.00 90.00 90.00°
Fractional coordinates of all 32 atoms:
1 Mg 0.000 0.000 0.000
2 Mg 0.000 0.248 0.251
3 Mg 0.000 0.248 0.749
4 Mg 0.000 0.500 0.000
5 Mg 0.000 0.752 0.251
6 Mg 0.000 0.752 0.749
7 Mg 0.500 0.000 0.253
8 Mg 0.500 0.000 0.747
9 Mg 0.500 0.247 0.500
10 Mg 0.500 0.250 0.000
11 Mg 0.500 0.500 0.251
12 Mg 0.500 0.500 0.749
13 Mg 0.500 0.750 0.000
14 Mg 0.500 0.753 0.500
15 Fe 0.000 0.500 0.500
16 C 0.000 0.000 0.500
17 O 0.000 0.000 0.250
18 O 0.000 0.000 0.750
19 O 0.000 0.248 0.000
20 O 0.000 0.251 0.500
21 O 0.000 0.500 0.244
22 O 0.000 0.500 0.756
23 O 0.000 0.749 0.500
24 O 0.000 0.752 0.000
25 O 0.500 0.000 0.000
26 O 0.500 0.000 0.500
27 O 0.500 0.249 0.252
28 O 0.500 0.249 0.748
29 O 0.500 0.500 0.000
30 O 0.500 0.500 0.500
31 O 0.500 0.751 0.252
32 O 0.500 0.751 0.748



VASP calculation (PBE+U) on crystalline Mn2FeC6N6O8 at its relaxed geometry.

Output
Its space group is No. 14. For the mass density, the calculation gives 2.053 g/cm³. Its crystal system is monoclinic.

Cell: 7.208 11.870 10.340 Å, 90.00 124.65 90.00°
Fractional coordinates of all 46 atoms:
1 Mn 0.169 0.081 0.080
2 Mn 0.169 0.419 0.580
3 Mn 0.831 0.581 0.420
4 Mn 0.831 0.919 0.920
5 Fe 0.000 0.000 0.500
6 Fe 0.000 0.500 0.000
7 C 0.068 0.036 0.347
8 C 0.068 0.464 0.847
9 C 0.095 0.154 0.575
10 C 0.095 0.346 0.075
11 C 0.311 0.550 0.142
12 C 0.311 0.950 0.642
13 C 0.689 0.050 0.358
14 C 0.689 0.450 0.858
15 C 0.905 0.654 0.925
16 C 0.905 0.846 0.425
17 C 0.932 0.536 0.153
18 C 0.932 0.964 0.653
19 N 0.111 0.060 0.257
20 N 0.111 0.440 0.757
21 N 0.150 0.249 0.607
22 N 0.150 0.251 0.107
23 N 0.500 0.073 0.267
24 N 0.500 0.427 0.767
25 N 0.500 0.573 0.233
26 N 0.500 0.927 0.733
27 N 0.850 0.749 0.893
28 N 0.850 0.751 0.393
29 N 0.889 0.560 0.243
30 N 0.889 0.940 0.743
31 O 0.138 0.574 0.561
32 O 0.138 0.926 0.061
33 O 0.239 0.745 0.834
34 O 0.239 0.755 0.334
35 O 0.258 0.107 0.962
36 O 0.258 0.393 0.462
37 O 0.368 0.717 0.466
38 O 0.368 0.783 0.966
39 O 0.632 0.217 0.034
40 O 0.632 0.283 0.534
41 O 0.742 0.607 0.538
42 O 0.742 0.893 0.038
43 O 0.761 0.245 0.666
44 O 0.761 0.255 0.166
45 O 0.862 0.074 0.939
46 O 0.862 0.426 0.439



VASP calculation (PBE+U) on crystalline Mn2Fe3Sn2C19O19 at its relaxed geometry.

Output
Its space group is No. 14. For the mass density, the calculation gives 2.278 g/cm³. Its crystal system is monoclinic.

Cell: 9.633 11.411 28.568 Å, 90.00 103.55 90.00°
Fractional coordinates of all 180 atoms:
1 Mn 0.092 0.074 0.339
2 Mn 0.092 0.426 0.839
3 Mn 0.301 0.556 0.584
4 Mn 0.301 0.944 0.084
5 Mn 0.699 0.056 0.916
6 Mn 0.699 0.444 0.416
7 Mn 0.908 0.574 0.161
8 Mn 0.908 0.926 0.661
9 Fe 0.268 0.679 0.373
10 Fe 0.268 0.821 0.873
11 Fe 0.445 0.728 0.817
12 Fe 0.445 0.772 0.317
13 Fe 0.498 0.157 0.586
14 Fe 0.498 0.343 0.086
15 Fe 0.502 0.657 0.914
16 Fe 0.502 0.843 0.414
17 Fe 0.555 0.228 0.683
18 Fe 0.555 0.272 0.183
19 Fe 0.732 0.179 0.127
20 Fe 0.732 0.321 0.627
21 Sn 0.272 0.602 0.855
22 Sn 0.272 0.898 0.355
23 Sn 0.464 0.132 0.111
24 Sn 0.464 0.368 0.611
25 Sn 0.536 0.632 0.389
26 Sn 0.536 0.868 0.889
27 Sn 0.728 0.102 0.645
28 Sn 0.728 0.398 0.145
29 C 0.005 0.010 0.716
30 C 0.005 0.490 0.216
31 C 0.007 0.004 0.622
32 C 0.007 0.496 0.122
33 C 0.034 0.696 0.172
34 C 0.034 0.804 0.672
35 C 0.125 0.692 0.322
36 C 0.125 0.808 0.822
37 C 0.180 0.695 0.421
38 C 0.180 0.805 0.921
39 C 0.183 0.009 0.120
40 C 0.183 0.491 0.620
41 C 0.190 0.687 0.568
42 C 0.190 0.813 0.068
43 C 0.202 0.023 0.028
44 C 0.202 0.477 0.528
45 C 0.207 0.143 0.302
46 C 0.207 0.357 0.802
47 C 0.208 0.142 0.394
48 C 0.208 0.358 0.894
49 C 0.270 0.524 0.373
50 C 0.270 0.976 0.873
51 C 0.325 0.190 0.552
52 C 0.325 0.310 0.052
53 C 0.368 0.622 0.773
54 C 0.368 0.878 0.273
55 C 0.372 0.198 0.682
56 C 0.372 0.302 0.182
57 C 0.407 0.649 0.278
58 C 0.407 0.851 0.778
59 C 0.411 0.629 0.639
60 C 0.411 0.871 0.139
61 C 0.424 0.627 0.964
62 C 0.424 0.873 0.464
63 C 0.435 0.598 0.549
64 C 0.435 0.902 0.049
65 C 0.450 0.016 0.602
66 C 0.450 0.484 0.102
67 C 0.550 0.516 0.898
68 C 0.550 0.984 0.398
69 C 0.565 0.098 0.951
70 C 0.565 0.402 0.451
71 C 0.576 0.127 0.536
72 C 0.576 0.373 0.036
73 C 0.589 0.129 0.861
74 C 0.589 0.371 0.361
75 C 0.593 0.149 0.222
76 C 0.593 0.351 0.722
77 C 0.628 0.698 0.818
78 C 0.628 0.802 0.318
79 C 0.632 0.122 0.727
80 C 0.632 0.378 0.227
81 C 0.675 0.690 0.948
82 C 0.675 0.810 0.448
83 C 0.730 0.024 0.127
84 C 0.730 0.476 0.627
85 C 0.792 0.642 0.106
86 C 0.792 0.858 0.606
87 C 0.793 0.643 0.198
88 C 0.793 0.857 0.698
89 C 0.798 0.523 0.472
90 C 0.798 0.977 0.972
91 C 0.810 0.187 0.932
92 C 0.810 0.313 0.432
93 C 0.817 0.509 0.380
94 C 0.817 0.991 0.880
95 C 0.820 0.195 0.079
96 C 0.820 0.305 0.579
97 C 0.875 0.192 0.178
98 C 0.875 0.308 0.678
99 C 0.966 0.196 0.328
100 C 0.966 0.304 0.828
101 C 0.993 0.504 0.878
102 C 0.993 0.996 0.378
103 C 0.995 0.510 0.784
104 C 0.995 0.990 0.284
105 O 0.029 0.691 0.289
106 O 0.029 0.809 0.789
107 O 0.064 0.060 0.750
108 O 0.064 0.440 0.250
109 O 0.068 0.049 0.597
110 O 0.068 0.451 0.097
111 O 0.108 0.047 0.142
112 O 0.108 0.453 0.642
113 O 0.114 0.727 0.678
114 O 0.114 0.773 0.178
115 O 0.119 0.701 0.452
116 O 0.119 0.730 0.060
117 O 0.119 0.770 0.560
118 O 0.119 0.799 0.952
119 O 0.141 0.066 0.993
120 O 0.141 0.434 0.493
121 O 0.209 0.195 0.527
122 O 0.209 0.305 0.027
123 O 0.251 0.077 0.871
124 O 0.251 0.423 0.371
125 O 0.254 0.178 0.683
126 O 0.254 0.322 0.183
127 O 0.277 0.188 0.279
128 O 0.277 0.312 0.779
129 O 0.281 0.183 0.427
130 O 0.281 0.317 0.927
131 O 0.327 0.559 0.740
132 O 0.327 0.941 0.240
133 O 0.376 0.606 0.997
134 O 0.376 0.894 0.497
135 O 0.378 0.573 0.250
136 O 0.378 0.927 0.750
137 O 0.411 0.577 0.111
138 O 0.411 0.923 0.611
139 O 0.478 0.677 0.672
140 O 0.478 0.823 0.172
141 O 0.485 0.123 0.974
142 O 0.485 0.377 0.474
143 O 0.515 0.623 0.526
144 O 0.515 0.877 0.026
145 O 0.522 0.177 0.828
146 O 0.522 0.323 0.328
147 O 0.589 0.077 0.389
148 O 0.589 0.423 0.889
149 O 0.622 0.073 0.250
150 O 0.622 0.427 0.750
151 O 0.624 0.106 0.503
152 O 0.624 0.394 0.003
153 O 0.673 0.059 0.760
154 O 0.673 0.441 0.260
155 O 0.719 0.683 0.073
156 O 0.719 0.817 0.573
157 O 0.723 0.688 0.221
158 O 0.723 0.812 0.721
159 O 0.746 0.678 0.817
160 O 0.746 0.822 0.317
161 O 0.749 0.577 0.629
162 O 0.749 0.923 0.129
163 O 0.791 0.695 0.973
164 O 0.791 0.805 0.473
165 O 0.859 0.566 0.507
166 O 0.859 0.934 0.007
167 O 0.881 0.201 0.048
168 O 0.881 0.230 0.440
169 O 0.881 0.270 0.940
170 O 0.881 0.299 0.548
171 O 0.886 0.227 0.822
172 O 0.886 0.273 0.322
173 O 0.892 0.547 0.358
174 O 0.892 0.953 0.858
175 O 0.932 0.549 0.903
176 O 0.932 0.951 0.403
177 O 0.936 0.560 0.750
178 O 0.936 0.940 0.250
179 O 0.971 0.191 0.211
180 O 0.971 0.309 0.711



VASP calculation (PBE+U) on crystalline FeMo6C8N2O20 at its relaxed geometry.

Output
Its space group is No. 12. For the mass density, the calculation gives 2.795 g/cm³. Its crystal system is monoclinic.

Cell: 10.989 10.989 8.303 Å, 102.32 102.32 40.89°
Fractional coordinates of all 37 atoms:
1 Fe 0.000 0.000 0.000
2 Mo 0.090 0.090 0.418
3 Mo 0.195 0.674 0.296
4 Mo 0.326 0.805 0.704
5 Mo 0.674 0.195 0.296
6 Mo 0.805 0.326 0.704
7 Mo 0.910 0.910 0.582
8 C 0.193 0.468 0.755
9 C 0.315 0.315 0.626
10 C 0.377 0.377 0.841
11 C 0.468 0.193 0.755
12 C 0.532 0.807 0.245
13 C 0.623 0.623 0.159
14 C 0.685 0.685 0.374
15 C 0.807 0.532 0.245
16 N 0.289 0.289 0.815
17 N 0.711 0.711 0.185
18 O 0.057 0.057 0.641
19 O 0.077 0.077 0.196
20 O 0.132 0.568 0.228
21 O 0.152 0.768 0.112
22 O 0.175 0.175 0.491
23 O 0.175 0.704 0.548
24 O 0.232 0.848 0.888
25 O 0.296 0.825 0.452
26 O 0.432 0.868 0.772
27 O 0.461 0.461 0.312
28 O 0.539 0.539 0.688
29 O 0.568 0.132 0.228
30 O 0.704 0.175 0.548
31 O 0.768 0.152 0.112
32 O 0.825 0.296 0.452
33 O 0.825 0.825 0.509
34 O 0.848 0.232 0.888
35 O 0.868 0.432 0.772
36 O 0.923 0.923 0.804
37 O 0.943 0.943 0.359



Number 1: calculated total energy -189.3 eV for the cell shown. Number 2: calculated total energy -190.1 eV for the cell shown. Number 3: calculated total energy -316.8 eV for the cell shown. Number 4: calculated total energy -1302.1 eV for the cell shown. Number 5: calculated total energy -249.4 eV for the cell shown.